(1)
Computed, not measured: Ti2Pd3 after structural relaxation at the PBE level of DFT.

Computed properties:
symmetry = Cmcm (63)

Unit cell a=7.5590 b=7.5590 c=4.6299 alpha=90.00 beta=90.00 gamma=36.60
Atoms (fractional coordinates):
Ti: 0.1192 0.6651 0.7500
Ti: 0.3349 0.8808 0.7500
Ti: 0.6651 0.1192 0.2500
Ti: 0.8808 0.3349 0.2500
Pd: 0.0913 0.5191 0.2500
Pd: 0.2971 0.7029 0.2500
Pd: 0.4809 0.9087 0.2500
Pd: 0.5191 0.0913 0.7500
Pd: 0.7029 0.2971 0.7500
Pd: 0.9087 0.4809 0.7500

(2)
Computed, not measured: Ti3Pd5 after structural relaxation at the PBE level of DFT.

Computed properties:
E above lowest polymorph = 318 meV per atom
magnetization = 0.34 μB/f.u.
symmetry = P4/mmm (123)

Unit cell a=3.3318 b=3.3318 c=11.6039 alpha=90.00 beta=90.00 gamma=90.00
Atoms (fractional coordinates):
Ti: 0.0000 0.0000 0.0000
Ti: 0.5000 0.5000 0.1415
Ti: 0.5000 0.5000 0.8585
Pd: 0.0000 0.0000 0.2440
Pd: 0.0000 0.0000 0.5000
Pd: 0.0000 0.0000 0.7560
Pd: 0.5000 0.5000 0.3741
Pd: 0.5000 0.5000 0.6259

Number 1: E_tot -6.871 eV per atom, E_form -0.6047 eV/atom. Number 2: E_tot -6.498 eV per atom, E_form -0.2993 eV/atom.